Computed, not measured: SrMg6AlO8 after structural relaxation at the PBE level of DFT.

Lattice parameters (Å, degrees): 4.580 4.580 8.580 90.00 90.00 90.00
Space group P4/mmm (No. 123)
Unique sites:
1 Sr 0.000 0.000 0.000 [1 per cell]
2 Mg 0.000 0.500 0.259 [4 per cell]
3 Mg 0.500 0.500 0.000 [1 per cell]
4 Mg 0.500 0.500 0.500 [1 per cell]
5 Al 0.000 0.000 0.500 [1 per cell]
6 O 0.000 0.000 0.286 [2 per cell]
7 O 0.000 0.500 0.000 [2 per cell]
8 O 0.000 0.500 0.500 [2 per cell]
9 O 0.500 0.500 0.250 [2 per cell]

Results
Density   3.58 g cm⁻³
Energy above the most stable polymorph in this dataset   0 meV/atom
Magnetization   0.00 μB/cell
Formation energy   -43.90 eV/f.u.
Corrected total energy (MP2020 scheme)   -6.157 eV per atom



Computed, not measured: Sc6Te2Rh after structural relaxation at the PBE level of DFT.

Lattice parameters (Å, degrees): 7.8064 7.8064 3.7938 90.00 90.00 120.00
Space group P-62m (No. 189)
Unique sites:
1 Sc 0.0000 0.2425 0.0000 [3 per cell]
2 Sc 0.0000 0.6085 0.5000 [3 per cell]
3 Te 0.3333 0.6667 0.0000 [2 per cell]
4 Rh 0.0000 0.0000 0.5000 [1 per cell]

Results
Density   5.21 g cm⁻³
Formation energy   -7.16 eV/f.u.



Computed, not measured: Ce4CdNi after structural relaxation at the PBE level of DFT.

Lattice parameters (Å, degrees): 13.628 13.628 13.628 90.00 90.00 90.00
Space group F-43m (No. 216)
Unique sites:
1 Ce 0.000 0.000 0.187 [24 per cell]
2 Ce 0.057 0.250 0.750 [24 per cell]
3 Ce 0.099 0.099 0.401 [16 per cell]
4 Cd 0.171 0.171 0.171 [16 per cell]
5 Ni 0.109 0.109 0.609 [16 per cell]

Results
Density   7.68 g cm⁻³
Magnetization   68.50 μB/cell
Formation energy   -0.65 eV/f.u.



Computed, not measured: ZnCuSi2O6 after structural relaxation at the PBE level of DFT.

Lattice parameters (Å, degrees): 5.276 18.480 9.143 90.00 90.00 90.00
Space group Pbca (No. 61)
Unique sites:
1 Zn 0.116 0.124 0.151 [8 per cell]
2 Cu 0.120 0.124 0.509 [8 per cell]
3 Si 0.073 0.726 0.662 [8 per cell]
4 Si 0.222 0.026 0.836 [8 per cell]
5 O 0.063 0.685 0.162 [8 per cell]
6 O 0.072 0.551 0.707 [8 per cell]
7 O 0.086 0.687 0.502 [8 per cell]
8 O 0.162 0.196 0.737 [8 per cell]
9 O 0.188 0.568 0.984 [8 per cell]
10 O 0.214 0.563 0.342 [8 per cell]

Results
Density   4.19 g cm⁻³
Energy above the most stable polymorph in this dataset   3 meV/atom
Magnetization   8.00 μB/cell
Formation energy   -24.22 eV/f.u.
Corrected total energy (MP2020 scheme)   -7.012 eV per atom



Computed, not measured: MgTi6H4O14 after structural relaxation at the PBE level of DFT.

Lattice parameters (Å, degrees): 3.851 8.289 9.640 101.10 90.02 100.72
Space group P1 (No. 1)
Unique sites:
1 Mg 0.000 0.000 0.000 [1 per cell]
2 Ti 0.059 0.148 0.752 [1 per cell]
3 Ti 0.104 0.263 0.467 [1 per cell]
4 Ti 0.140 0.347 0.159 [1 per cell]
5 Ti 0.442 0.855 0.772 [1 per cell]
6 Ti 0.475 0.946 0.493 [1 per cell]
7 Ti 0.525 0.062 0.216 [1 per cell]
8 H 0.277 0.499 0.752 [1 per cell]
9 H 0.285 0.608 0.023 [1 per cell]
10 H 0.317 0.692 0.193 [1 per cell]
11 H 0.636 0.593 0.840 [1 per cell]
12 O 0.004 0.017 0.521 [1 per cell]
13 O 0.040 0.101 0.211 [1 per cell]
14 O 0.093 0.231 0.941 [1 per cell]
15 O 0.136 0.342 0.662 [1 per cell]
16 O 0.169 0.420 0.364 [1 per cell]
17 O 0.237 0.585 0.119 [1 per cell]
18 O 0.393 0.608 0.827 [1 per cell]
19 O 0.400 0.767 0.580 [1 per cell]
20 O 0.439 0.866 0.300 [1 per cell]
21 O 0.476 0.941 0.015 [1 per cell]
22 O 0.532 0.084 0.714 [1 per cell]
23 O 0.574 0.187 0.429 [1 per cell]
24 O 0.619 0.296 0.159 [1 per cell]
25 O 0.955 0.887 0.800 [1 per cell]

Results
Density   3.02 g cm⁻³
Energy above the most stable polymorph in this dataset   47 meV/atom
Magnetization   1.72 μB/cell
Formation energy   -69.89 eV/f.u.
Corrected total energy (MP2020 scheme)   -8.068 eV per atom



Computed, not measured: Gd3Pd2 after structural relaxation at the PBE level of DFT.

Lattice parameters (Å, degrees): 7.910 7.910 3.961 90.00 90.00 90.00
Space group P4/mbm (No. 127)
Unique sites:
1 Gd 0.000 0.000 0.000 [2 per cell]
2 Gd 0.165 0.335 0.500 [4 per cell]
3 Pd 0.131 0.631 0.000 [4 per cell]

Results
Density   9.17 g cm⁻³
Formation energy   -3.50 eV/f.u.



Computed, not measured: Pr2MgSe4 after structural relaxation at the PBE level of DFT.

Lattice parameters (Å, degrees): 12.068 12.068 12.068 90.00 90.00 90.00
Space group Fd-3m (No. 227, origin choice 2)
Unique sites:
1 Pr 0.000 0.000 0.000 [16 per cell]
2 Mg 0.125 0.125 0.625 [8 per cell]
3 Se 0.002 0.002 0.248 [32 per cell]

Results
Density   4.70 g cm⁻³
Energy above the most stable polymorph in this dataset   21 meV/atom
Magnetization   0.00 μB/cell
Formation energy   -13.37 eV/f.u.
Corrected total energy (MP2020 scheme)   -5.502 eV per atom



Computed, not measured: Sm2Si5Ni3 after structural relaxation at the PBE level of DFT.

Lattice parameters (Å, degrees): 9.617 11.293 5.707 90.00 90.00 90.00
Space group Ibam (No. 72)
Unique sites:
1 Sm 0.237 0.131 0.000 [8 per cell]
2 Si 0.000 0.000 0.250 [4 per cell]
3 Si 0.000 0.265 0.250 [8 per cell]
4 Si 0.150 0.392 0.000 [8 per cell]
5 Ni 0.000 0.500 0.250 [4 per cell]
6 Ni 0.111 0.133 0.500 [8 per cell]

Results
Density   6.61 g cm⁻³
Magnetization   0.00 μB/cell
Formation energy   -7.87 eV/f.u.



Computed, not measured: Pb2O after structural relaxation at the PBE level of DFT.

Lattice parameters (Å, degrees): 5.472 5.472 5.472 90.00 90.00 90.00
Space group Pn-3m (No. 224, origin choice 2)
Unique sites:
1 Pb 0.000 0.000 0.000 [4 per cell]
2 O 0.250 0.250 0.250 [2 per cell]

Results
Density   8.72 g cm⁻³
Magnetization   0.00 μB/cell
Formation energy   -1.87 eV/f.u.
Corrected total energy (MP2020 scheme)   -4.748 eV per atom



Computed, not measured: VH after structural relaxation at the PBE level of DFT.

Lattice parameters (Å, degrees): 3.942 3.942 3.942 90.00 90.00 90.00
Space group Fm-3m (No. 225)
Unique sites:
1 V 0.000 0.000 0.000 [4 per cell]
2 H 0.000 0.000 0.500 [4 per cell]

Results
Density   5.63 g cm⁻³
Formation energy   -0.48 eV/f.u.
Corrected total energy (MP2020 scheme)   -6.481 eV per atom



Computed, not measured: NaMnCu3Se4 after structural relaxation at the PBE level of DFT.

Lattice parameters (Å, degrees): 5.869 5.869 5.869 90.00 90.00 90.00
Space group P-43m (No. 215)
Unique sites:
1 Na 0.000 0.000 0.000 [1 per cell]
2 Mn 0.500 0.500 0.500 [1 per cell]
3 Cu 0.000 0.500 0.500 [3 per cell]
4 Se 0.269 0.269 0.731 [4 per cell]

Results
Density   4.80 g cm⁻³
Magnetization   3.00 μB/cell
Formation energy   -5.35 eV/f.u.
Corrected total energy (MP2020 scheme)   -4.680 eV per atom



Computed, not measured: AuS2 after structural relaxation at the PBE level of DFT.

Lattice parameters (Å, degrees): 5.396 5.396 5.396 90.00 90.00 90.00
Space group Pn-3m (No. 224, origin choice 2)
Unique sites:
1 Au 0.250 0.250 0.250 [2 per cell]
2 S 0.000 0.000 0.000 [4 per cell]

Results
Density   5.52 g cm⁻³
Magnetization   0.01 μB/cell
Formation energy   1.51 eV/f.u.
Corrected total energy (MP2020 scheme)   -3.346 eV per atom